The following is a PBE with a Hubbard U calculation of a geometry-optimized SrMnO3 structure, from the Materials Project.

Results
Energy   -137.80 eV for the cell shown
Calculated formation energy   -2.497 eV/atom
Space group   P6_3/mmc, No. 194

Unit cell a=5.5238 b=9.2494 c=5.5238 alpha=90.00 beta=120.00 gamma=90.00
Atoms (fractional coordinates):
Sr1 0.3333 0.7500 0.6667
Sr2 0.6667 0.2500 0.3333
Sr3 0.0000 0.5000 0.0000
Sr4 0.0000 0.0000 0.0000
Mn1 0.3333 0.1131 0.6667
Mn2 0.6667 0.6131 0.3333
Mn3 0.6667 0.8869 0.3333
Mn4 0.3333 0.3869 0.6667
O1 0.1811 0.2500 0.8189
O2 0.8189 0.7500 0.6378
O3 0.3622 0.7500 0.1811
O4 0.6378 0.2500 0.8189
O5 0.1811 0.2500 0.3622
O6 0.8189 0.7500 0.1811
O7 0.0000 0.5000 0.5000
O8 0.5000 0.0000 0.5000
O9 0.0000 0.0000 0.5000
O10 0.5000 0.5000 0.5000
O11 0.5000 0.5000 0.0000
O12 0.5000 0.0000 0.0000

The following is a PBE with a Hubbard U calculation of a geometry-optimized NiSO9 structure, from the Materials Project.

Results
Energy above the lowest structure with this stoichiometry   0 meV per atom
Energy   -56.63 eV for the cell shown
Calculated formation energy   -0.561 eV/atom
Total moment   6.00 Bohr magnetons per cell
Space group   P1, No. 1

Unit cell a=4.4838 b=4.7553 c=7.2438 alpha=105.23 beta=92.72 gamma=91.89
Atoms (fractional coordinates):
Ni1 0.1813 0.4012 0.9894
S1 0.7008 0.8442 0.9421
O1 0.5082 0.7410 0.0740
O2 0.4087 0.1840 0.7853
O3 0.4776 0.8816 0.7678
O4 0.8763 0.9493 0.4890
O5 0.8450 0.1302 0.0394
O6 0.3127 0.3257 0.2870
O7 0.5191 0.4272 0.4071
O8 0.0664 0.8814 0.3710
O9 0.9080 0.6262 0.8481

The following is a PBE with a Hubbard U calculation of a geometry-optimized Li3Fe2SbO6 structure, from the Materials Project.

Results
Energy   -70.52 eV for the cell shown
Calculated formation energy   -1.889 eV/atom
Total moment   8.00 Bohr magnetons per cell
Space group   C2/m, No. 12

Unit cell a=6.7485 b=6.7485 c=6.3073 alpha=76.64 beta=76.64 gamma=26.70
Atoms (fractional coordinates):
Li1 0.5000 0.5000 0.5000
Li2 0.1716 0.1716 0.1931
Li3 0.8284 0.8284 0.8069
Fe1 0.1724 0.1724 0.6404
Fe2 0.8276 0.8276 0.3596
Sb1 0.5000 0.5000 0.0000
O1 0.6539 0.6539 0.9004
O2 0.3406 0.3406 0.5766
O3 0.3461 0.3461 0.0996
O4 0.0064 0.0064 0.2144
O5 0.9936 0.9936 0.7856
O6 0.6594 0.6594 0.4234

The following is a PBE with a Hubbard U calculation of a geometry-optimized LiCo2OF3 structure, from the Materials Project.

Results
Energy above the lowest structure with this stoichiometry   5 meV per atom
Energy   -147.86 eV for the cell shown
Calculated formation energy   -2.214 eV/atom
Total moment   24.00 Bohr magnetons per cell
Space group   Imm2, No. 44

Unit cell a=8.1452 b=8.1452 c=8.1452 alpha=137.37 beta=115.43 gamma=80.49
Atoms (fractional coordinates):
Li1 0.5136 0.8657 0.6479
Li2 0.7822 0.1343 0.6479
Li3 0.7286 0.3675 0.3611
Li4 0.9936 0.6325 0.3611
Co1 0.7296 0.7466 0.9829
Co2 0.1306 0.1424 0.5081
Co3 0.3657 0.8576 0.9883
Co4 0.9827 0.0000 0.9827
Co5 0.2363 0.2534 0.9829
Co6 0.5274 0.5000 0.0274
Co7 0.1306 0.6226 0.9883
Co8 0.3657 0.3774 0.5081
O1 0.4899 0.7290 0.7609
O2 0.0319 0.2710 0.7609
O3 0.2174 0.0000 0.2174
O4 0.2932 0.5000 0.7932
F1 0.6324 0.8669 0.2511
F2 0.7576 0.0000 0.7576
F3 0.3841 0.1331 0.7654
F4 0.1232 0.8887 0.7565
F5 0.6324 0.3813 0.7654
F6 0.4638 0.2372 0.2266
F7 0.8678 0.1113 0.2345
F8 0.1232 0.3667 0.2345
F9 0.3841 0.6187 0.2511
F10 0.7552 0.5000 0.2552
F11 0.9894 0.7628 0.2266
F12 0.8678 0.6333 0.7565

> Which formula does entry 4 have?

LiCo2OF3